Here is an optimized crystal structure of Ni2Mo3N from Materials Project. Energies are from GGA-PBE.

Calculated values
crystal system = cubic
total energy = -8.725 eV/atom
calculated formation energy = -47 meV/atom

Cell: 6.860 6.860 6.860 Å, 90.00 90.00 90.00°
Space group P4_132 (No. 213)
Asymmetric unit:
Ni  0.044  0.044  0.044
Mo  0.078  0.875  0.672
N  0.125  0.375  0.625